# 1
UPdPt4: relaxed, GGA-PBE.

Computed properties:
Space-group type   F-43m
E_form   -0.558 eV per atom
Total energy   -44.10 eV per cell
Theoretical density   17.75 g/cm³

Structure (POSCAR):
```
UPdPt4
1.0
0.000 3.747 3.747
3.747 0.000 3.747
3.747 3.747 0.000
U Pd Pt
1 1 4
Cartesian
0.000 0.000 0.000
1.874 1.874 1.874
4.682 2.813 2.813
2.813 4.682 2.813
2.813 2.813 4.682
4.682 4.682 4.682
```


# 2
CdTeO3: relaxed, GGA-PBE.

Computed properties:
Space-group type   P2_1/c
E_form   -1.529 eV per atom
Total energy   -195.95 eV per cell
Theoretical density   6.03 g/cm³

Structure (POSCAR):
```
CdTeO3
1.0
7.981 0.000 0.000
0.000 11.451 0.000
-3.081 0.000 6.943
Cd Te O
8 8 24
Cartesian
-1.438 2.679 3.308
-2.978 3.047 6.779
-0.341 0.098 5.600
1.199 5.628 2.128
3.701 5.823 4.814
5.241 11.354 1.343
7.878 8.405 0.164
6.338 8.772 3.635
0.511 0.002 1.799
-1.029 5.723 5.271
2.816 8.503 2.613
1.275 8.674 6.084
3.625 2.777 0.859
2.084 2.949 4.330
4.389 11.449 5.143
5.929 5.728 1.672
-2.311 7.202 5.294
-0.771 9.975 1.823
-0.797 6.751 2.697
-2.338 10.426 6.169
0.048 0.897 3.419
-1.493 4.829 6.890
1.901 2.019 1.087
0.360 3.706 4.558
1.878 7.643 1.182
0.337 9.535 4.654
2.193 7.183 3.886
3.733 9.994 0.415
1.167 1.457 6.528
2.707 4.268 3.057
4.563 1.917 2.289
3.022 3.809 5.760
4.540 7.745 2.385
3.000 9.432 5.856
6.393 6.623 0.052
4.852 10.554 3.524
7.238 1.025 0.774
5.697 4.701 4.246
5.671 1.477 5.120
7.211 4.249 1.649
```


# 3
ZnN: relaxed, GGA-PBE.

Computed properties:
Space-group type   P6_3mc
Relative energy among the computed polymorphs   1.4 kJ per mole of atoms
E_form   0.452 eV per atom
Total energy   -16.66 eV per cell
Theoretical density   5.43 g/cm³

Structure (POSCAR):
```
ZnN
1.0
3.221 0.000 0.000
-1.611 2.790 0.000
0.000 0.000 5.401
Zn N
2 2
Cartesian
0.000 1.860 0.000
1.611 0.930 2.701
0.000 1.860 3.423
1.611 0.930 0.723
```


# 4
Mg6AlW: relaxed, GGA-PBE.

Computed properties:
Relative energy among the computed polymorphs   1.8 kJ per mole of atoms
E_form   0.250 eV per atom
Total energy   -48.62 eV per cell
Magnetic moment   0.0 μB/f.u.
Theoretical density   3.77 g/cm³

Structure (POSCAR):
```
Mg6AlW
1.0
4.962 0.000 0.000
0.000 5.849 0.000
0.000 0.000 10.827
Mg Al W
12 2 2
Cartesian
2.481 1.468 4.555
2.481 4.381 4.555
0.000 4.322 0.915
0.000 1.527 0.915
0.000 0.000 3.544
0.000 2.924 3.480
2.481 4.393 9.969
2.481 1.456 9.969
0.000 1.397 6.329
0.000 4.452 6.329
0.000 2.924 8.957
0.000 0.000 8.893
2.481 0.000 1.826
2.481 2.924 7.239
2.481 2.924 1.865
2.481 0.000 7.278
```


Question: Look up the E_form of the fourth one.
Answer: 0.250 eV per atom


Question: total energy of number 4 (Mg6AlW)?
Answer: -48.62 eV per cell


Question: Which of these has the lowest E_form?
Answer: CdTeO3


Question: Which of these has the lowest theoretical density?
Answer: Mg6AlW